Run 1
Below is a relaxed LiP4Br12O4 crystal, with properties calculated at the GGA-PBE level.

Cell and atoms, written as extended XYZ:
```
21
Lattice="6.6904 0.0000 0.0000 -0.8634 10.0774 0.0000 -0.2400 -0.2757 10.7456" Properties=species:S:1:pos:R:3 pbc="T T T"
Li 0.0000 0.0000 0.0000
P -0.5464 7.6314 2.1206
P 1.7556 2.6071 2.1188
P 2.8079 6.2674 7.4968
P 5.1561 1.1895 7.4887
Br -0.8276 9.7098 7.6590
Br 0.4357 2.8579 0.3167
Br 0.4174 2.9347 3.8228
Br 0.6524 7.8069 4.1187
Br 0.7640 8.1755 0.0037
Br 1.4098 4.5706 7.4612
Br 3.0984 4.3280 2.0681
Br 3.9292 0.6228 5.7779
Br 3.9172 0.7902 9.2967
Br 4.0636 5.9277 9.2726
Br 4.1637 5.9477 5.7926
Br 4.4643 9.4218 2.0098
O 2.4180 1.2881 2.0966
O 2.1447 7.5867 7.4820
O 5.4756 6.3088 2.0121
O 5.6974 2.5623 7.4469
```

***

Run 2
Below is a relaxed LiP4Br12O4 crystal, with properties calculated at the GGA-PBE level.

Cell and atoms, written as extended XYZ:
```
21
Lattice="6.2486 0.0000 0.0000 -0.6646 10.7283 0.0000 -0.0005 -0.0119 11.2071" Properties=species:S:1:pos:R:3 pbc="T T T"
Li 0.0000 0.0000 0.0000
P 0.0662 1.2004 5.6047
P 1.2125 5.1700 11.2028
P 2.7304 10.4086 0.0046
P 4.1584 6.5503 5.6040
Br 1.3590 2.9721 5.6081
Br 1.8812 0.0099 9.3590
Br 1.8824 0.0508 1.8524
Br 2.4753 4.7361 9.4537
Br 2.4753 4.7799 1.7520
Br 2.7517 8.2354 5.6246
Br 4.1254 8.4467 0.0151
Br 4.9733 1.4648 7.3371
Br 4.9783 1.4714 3.8693
Br 5.4517 6.8782 7.3542
Br 5.4524 6.9148 3.8604
Br 5.9736 3.5558 0.0094
O 0.1263 10.6442 5.6048
O 0.6186 6.5205 11.1895
O 3.5120 5.2223 5.5888
O 4.4375 0.7563 11.2026
```

***

Which of them is least stable? Easy: run 1.

***

Run 1
Below is a relaxed LiP4Br12O4 crystal, with properties calculated at the GGA-PBE level.

Cell and atoms, written as extended XYZ:
```
21
Lattice="6.6766 0.0000 0.0000 -0.9816 10.2799 0.0000 -0.2798 -0.2480 10.5665" Properties=species:S:1:pos:R:3 pbc="T T T"
Li 0.0000 0.0000 0.0000
P 0.1367 1.9586 3.0543
P 1.1433 5.7058 8.3849
P 3.4595 0.6169 8.4056
P 4.4963 7.1818 3.0800
Br -0.2262 3.9894 8.3138
Br 1.5261 3.6459 3.0497
Br 2.4000 0.5534 0.0437
Br 2.3884 0.2957 6.3722
Br 2.4696 5.4626 6.6400
Br 2.4498 5.3297 10.1159
Br 3.0258 8.8032 3.0013
Br 4.2195 9.2040 8.5093
Br 5.5148 2.2604 1.2593
Br 5.4776 2.2988 4.7514
Br 5.7240 7.5714 4.8475
Br 5.8586 7.5547 1.3520
O 0.7649 0.6213 3.0181
O 0.4540 7.0106 8.4316
O 4.1146 1.9499 8.4779
O 3.9072 5.8279 3.0337
```

***

Run 2
Below is a relaxed LiP4Br12O4 crystal, with properties calculated at the GGA-PBE level.

Cell and atoms, written as extended XYZ:
```
21
Lattice="6.7671 0.0000 0.0000 -0.6880 9.8661 0.0000 -0.0070 -0.0407 11.2176" Properties=species:S:1:pos:R:3 pbc="T T T"
Li 0.0000 0.0000 0.0000
P 0.3720 6.6214 11.1978
P 2.7350 1.6892 11.1238
P 3.5831 7.8722 5.4203
P 5.9074 2.9199 5.4274
Br 0.5474 4.6055 5.4222
Br 1.1600 1.5558 1.7820
Br 1.1796 1.4364 9.3396
Br 1.4819 6.3824 9.3276
Br 1.7551 6.1307 1.5931
Br 2.2074 9.5656 5.2105
Br 3.5875 9.6126 10.7318
Br 4.5831 3.2713 3.6971
Br 4.6151 3.2547 7.1819
Br 4.7913 8.3195 7.2012
Br 4.9926 8.0522 3.7370
Br 5.6028 5.0743 11.1777
O -0.1685 8.0337 0.1439
O 2.9029 6.5618 5.4840
O 3.4357 2.9965 11.0861
O 6.5592 1.5965 5.4135
```

***

Which of them is least stable? Easy: run 1.

***

Run 1
Below is a relaxed LiPr2Br2O4 crystal, with properties calculated at the GGA-PBE level.

Cell and atoms, written as extended XYZ:
```
9
Lattice="4.3571 0.0000 0.0000 -1.4545 6.1527 0.0000 -0.4923 -3.1633 6.9178" Properties=species:S:1:pos:R:3 pbc="T T T"
Li 0.0000 0.0000 0.0000
Pr -0.0015 0.2986 6.2364
Pr 2.2115 2.6350 3.9271
Br 0.0474 4.3818 2.2518
Br 2.3609 1.4544 0.9924
O -0.3766 -1.8355 5.4287
O 0.0309 1.4812 4.0590
O 0.0717 2.5601 5.0625
O 2.1854 1.2338 5.9590
```

***

Run 2
Below is a relaxed LiPr2Br2O4 crystal, with properties calculated at the GGA-PBE level.

Cell and atoms, written as extended XYZ:
```
9
Lattice="4.3590 0.0000 0.0000 -0.9513 6.3881 0.0000 -0.3572 -2.8871 6.7160" Properties=species:S:1:pos:R:3 pbc="T T T"
Li 0.0000 0.0000 0.0000
Pr 1.0205 0.6430 3.1700
Pr 3.2536 3.2541 1.1828
Br 0.8623 2.0953 5.9452
Br 3.2083 -0.9978 5.1041
O -0.7756 5.5015 1.6935
O 1.0626 2.1359 1.1061
O 1.0844 3.0103 2.3075
O 3.2234 1.3382 2.6418
```

***

Which of them is least stable? Easy: run 1.